Entry 1:
{
  "formula": "Na6Hf2Mg2Si3S3O24",
  "functional": "GGA-PBE",
  "state": "optimized geometry",
  "space_group": "No. 1",
  "total_energy_ev_per_atom": -6.7557,
  "vol_a3_per_cell": 1614.74,
  "total_magnetization_mub_per_cell": 0.001,
  "lattice": [[-7.8684, 2.0907, -4.0097], [2.8882, -8.6085, -0.0116], [-10.5998, -3.6201, 19.5530]],
  "species": ["Na", "Na", "Na", "Na", "Na", "Na", "Na", "Na", "Na", "Na", "Na", "Na", "Na", "Na", "Na", "Na", "Na", "Na", "Hf", "Hf", "Hf", "Hf", "Hf", "Hf", "Mg", "Mg", "Mg", "Mg", "Mg", "Mg", "Si", "Si", "Si", "Si", "Si", "Si", "Si", "Si", "Si", "S", "S", "S", "S", "S", "S", "S", "S", "S", "O", "O", "O", "O", "O", "O", "O", "O", "O", "O", "O", "O", "O", "O", "O", "O", "O", "O", "O", "O", "O", "O", "O", "O", "O", "O", "O", "O", "O", "O", "O", "O", "O", "O", "O", "O", "O", "O", "O", "O", "O", "O", "O", "O", "O", "O", "O", "O", "O", "O", "O", "O", "O", "O", "O", "O", "O", "O", "O", "O", "O", "O", "O", "O", "O", "O", "O", "O", "O", "O", "O", "O"],
  "fractional_positions": [[0.3731, 0.3492, 0.2446], [0.0001, 0.6413, 0.2345], [0.9870, 0.3450, 0.7407], [0.3889, 0.0307, 0.7448], [0.2969, 0.3329, 0.5822], [0.6562, 0.9848, 0.5957], [0.2995, 0.9579, 0.0698], [0.6579, 0.6768, 0.0796], [0.9908, 0.6874, 0.9180], [0.3187, 0.2778, 0.9050], [0.9915, 0.3035, 0.4312], [0.3211, 0.0419, 0.4154], [0.0126, 0.0029, 0.5048], [0.0092, 0.0104, 0.9912], [0.6473, 0.3093, 0.8214], [0.6408, 0.3202, 0.3293], [0.3173, 0.6536, 0.1534], [0.3215, 0.6650, 0.6589], [0.0039, 0.0133, 0.6492], [0.0163, 0.0021, 0.1444], [0.6565, 0.3260, 0.9833], [0.6526, 0.3302, 0.4862], [0.3405, 0.6683, 0.3151], [0.3512, 0.6841, 0.8104], [0.0188, 0.0124, 0.3505], [0.0158, 0.0110, 0.8453], [0.6590, 0.3167, 0.6844], [0.6563, 0.3274, 0.1806], [0.3069, 0.6572, 0.0202], [0.3123, 0.6489, 0.5229], [0.3072, 0.0026, 0.2531], [0.3062, 0.3036, 0.7534], [0.7133, 0.0025, 0.7515], [0.9602, 0.3365, 0.5858], [0.3627, 0.0238, 0.5845], [0.9578, 0.6201, 0.0883], [0.3714, 0.3437, 0.0862], [0.3294, 0.9612, 0.9198], [0.3344, 0.3707, 0.4174], [0.7108, 0.7161, 0.2524], [0.9956, 0.2914, 0.2533], [0.9971, 0.7063, 0.7535], [0.6701, 0.6275, 0.5850], [0.6697, 0.0421, 0.0856], [0.6281, 0.6680, 0.9203], [0.0387, 0.3738, 0.9176], [0.6323, 0.9605, 0.4174], [0.0396, 0.6667, 0.4146], [0.2161, 0.0253, 0.3108], [0.8145, 0.8109, 0.3036], [0.9799, 0.1969, 0.3079], [0.2286, 0.1883, 0.8117], [0.9831, 0.7828, 0.8088], [0.8297, 0.0159, 0.8067], [0.7919, 0.9726, 0.6889], [0.1749, 0.2069, 0.6946], [0.0260, 0.8203, 0.7018], [0.7820, 0.8108, 0.1962], [0.0180, 0.2043, 0.2011], [0.1765, 0.9711, 0.1943], [0.8659, 0.3529, 0.6422], [0.4778, 0.1146, 0.6419], [0.6477, 0.5224, 0.6361], [0.8690, 0.5173, 0.1476], [0.6448, 0.1234, 0.1374], [0.4771, 0.3673, 0.1469], [0.4635, 0.2997, 0.0298], [0.8382, 0.5271, 0.0286], [0.6959, 0.1466, 0.0311], [0.4526, 0.1576, 0.5247], [0.6898, 0.5430, 0.5293], [0.8459, 0.3139, 0.5225], [0.5498, 0.6844, 0.9741], [0.1479, 0.4572, 0.9694], [0.3108, 0.8511, 0.9783], [0.5562, 0.8666, 0.4711], [0.3131, 0.4696, 0.4726], [0.1495, 0.6958, 0.4664], [0.1262, 0.6450, 0.3601], [0.5152, 0.8726, 0.3643], [0.3530, 0.4814, 0.3552], [0.1148, 0.4766, 0.8630], [0.3451, 0.8614, 0.8607], [0.5152, 0.6398, 0.8671], [0.0135, 0.8125, 0.4068], [0.8021, 0.9845, 0.4073], [0.1641, 0.1812, 0.4143], [0.0168, 0.2028, 0.9130], [0.1594, 0.9821, 0.9150], [0.7999, 0.8093, 0.9131], [0.9623, 0.1503, 0.5854], [0.1754, 0.0121, 0.5875], [0.8249, 0.7964, 0.5872], [0.9588, 0.8100, 0.0896], [0.8236, 0.0240, 0.0919], [0.1822, 0.1662, 0.0889], [0.6921, 0.1697, 0.7478], [0.4912, 0.3287, 0.7423], [0.8538, 0.5370, 0.7454], [0.6963, 0.5463, 0.2509], [0.8541, 0.3241, 0.2472], [0.4904, 0.1698, 0.2451], [0.6400, 0.5051, 0.9223], [0.8698, 0.3666, 0.9239], [0.5000, 0.1555, 0.9215], [0.6439, 0.1337, 0.4181], [0.5050, 0.3454, 0.4179], [0.8750, 0.5049, 0.4177], [0.3636, 0.5139, 0.0740], [0.1531, 0.6692, 0.0828], [0.5228, 0.8717, 0.0781], [0.3637, 0.8501, 0.5717], [0.5208, 0.6500, 0.5765], [0.1563, 0.4837, 0.5815], [0.3065, 0.8177, 0.2555], [0.5324, 0.6893, 0.2559], [0.1590, 0.4638, 0.2555], [0.2946, 0.4804, 0.7592], [0.1575, 0.6910, 0.7559], [0.5134, 0.8369, 0.7534]]
}

Entry 2:
{
  "formula": "Na2Hf4Mg4SiS11O48",
  "functional": "GGA-PBE",
  "state": "optimized geometry",
  "space_group": "No. 1",
  "total_energy_ev_per_atom": -6.8674,
  "vol_a3_per_cell": 3064.89,
  "total_magnetization_mub_per_cell": 0.002,
  "lattice": [[17.5882, -0.0030, 0.0026], [-4.3983, 7.6253, 0.0071], [0.0037, 0.0231, 22.8548]],
  "species": ["Na", "Na", "Na", "Na", "Na", "Na", "Hf", "Hf", "Hf", "Hf", "Hf", "Hf", "Hf", "Hf", "Hf", "Hf", "Hf", "Hf", "Mg", "Mg", "Mg", "Mg", "Mg", "Mg", "Mg", "Mg", "Mg", "Mg", "Mg", "Mg", "Si", "Si", "Si", "S", "S", "S", "S", "S", "S", "S", "S", "S", "S", "S", "S", "S", "S", "S", "S", "S", "S", "S", "S", "S", "S", "S", "S", "S", "S", "S", "S", "S", "S", "S", "S", "S", "O", "O", "O", "O", "O", "O", "O", "O", "O", "O", "O", "O", "O", "O", "O", "O", "O", "O", "O", "O", "O", "O", "O", "O", "O", "O", "O", "O", "O", "O", "O", "O", "O", "O", "O", "O", "O", "O", "O", "O", "O", "O", "O", "O", "O", "O", "O", "O", "O", "O", "O", "O", "O", "O", "O", "O", "O", "O", "O", "O", "O", "O", "O", "O", "O", "O", "O", "O", "O", "O", "O", "O", "O", "O", "O", "O", "O", "O", "O", "O", "O", "O", "O", "O", "O", "O", "O", "O", "O", "O", "O", "O", "O", "O", "O", "O", "O", "O", "O", "O", "O", "O", "O", "O", "O", "O", "O", "O", "O", "O", "O", "O", "O", "O", "O", "O", "O", "O", "O", "O", "O", "O", "O", "O", "O", "O", "O", "O", "O", "O", "O", "O", "O", "O", "O", "O", "O", "O", "O", "O", "O", "O", "O", "O"],
  "fractional_positions": [[0.9959, 0.9840, 0.4912], [0.4983, 0.0037, 0.9998], [0.3320, 0.3259, 0.8372], [0.8417, 0.3431, 0.8319], [0.3377, 0.3325, 0.3299], [0.8408, 0.3426, 0.3412], [0.4997, 0.0084, 0.3560], [0.4968, 0.0052, 0.8547], [0.9999, 0.9960, 0.6488], [0.5003, 0.0019, 0.6396], [0.0004, 0.0011, 0.1450], [0.5005, 0.0091, 0.1493], [0.1633, 0.6646, 0.0191], [0.6644, 0.6554, 0.0219], [0.1605, 0.6661, 0.5209], [0.1584, 0.6616, 0.3129], [0.6665, 0.6625, 0.3117], [0.6644, 0.6598, 0.8116], [0.9980, 0.9922, 0.3560], [0.0040, 0.0032, 0.8547], [0.3314, 0.3315, 0.6840], [0.8357, 0.3376, 0.6816], [0.3355, 0.3311, 0.1864], [0.8348, 0.3348, 0.1853], [0.3334, 0.3284, 0.9791], [0.8381, 0.3380, 0.9816], [0.3360, 0.3377, 0.4827], [0.8358, 0.3373, 0.4798], [0.6689, 0.6715, 0.5226], [0.1619, 0.6628, 0.8105], [0.4947, 0.2952, 0.2509], [0.5156, 0.3757, 0.9170], [0.0124, 0.6662, 0.4173], [0.1452, 0.0063, 0.2509], [0.6482, 0.0061, 0.2503], [0.3543, 0.7059, 0.2508], [0.8574, 0.7080, 0.2507], [0.9968, 0.2841, 0.2511], [0.1475, 0.2921, 0.7521], [0.6474, 0.2871, 0.7490], [0.9979, 0.7046, 0.7529], [0.4979, 0.7076, 0.7493], [0.3525, 0.9996, 0.7486], [0.8566, 0.0077, 0.7523], [0.4779, 0.3417, 0.5831], [0.9762, 0.3286, 0.5838], [0.1907, 0.0488, 0.5834], [0.6930, 0.0457, 0.5831], [0.3319, 0.6164, 0.5833], [0.8314, 0.6204, 0.5834], [0.4760, 0.6223, 0.0825], [0.9758, 0.6193, 0.0837], [0.3325, 0.0438, 0.0823], [0.8330, 0.0486, 0.0836], [0.1920, 0.3353, 0.0832], [0.6914, 0.3299, 0.0830], [0.3084, 0.6601, 0.9153], [0.8145, 0.6681, 0.9164], [0.0195, 0.3738, 0.9143], [0.1662, 0.9571, 0.9141], [0.6695, 0.9608, 0.9166], [0.3103, 0.9590, 0.4172], [0.8113, 0.9579, 0.4182], [0.1689, 0.3762, 0.4166], [0.6685, 0.3797, 0.4191], [0.5208, 0.6619, 0.4181], [0.1030, 0.0292, 0.3021], [0.6039, 0.0277, 0.3024], [0.4111, 0.7906, 0.3027], [0.9116, 0.7906, 0.3016], [0.4858, 0.1661, 0.3062], [0.9856, 0.1783, 0.3025], [0.1054, 0.1787, 0.8030], [0.6034, 0.1773, 0.8022], [0.4870, 0.7933, 0.8027], [0.9831, 0.7892, 0.8033], [0.4116, 0.0281, 0.8019], [0.9105, 0.0310, 0.8034], [0.3989, 0.9771, 0.6976], [0.8966, 0.9778, 0.6984], [0.0909, 0.2025, 0.6982], [0.5907, 0.2040, 0.6978], [0.0098, 0.8165, 0.6985], [0.5110, 0.8200, 0.6978], [0.3979, 0.8174, 0.1979], [0.8982, 0.8184, 0.1965], [0.0099, 0.2008, 0.1972], [0.5131, 0.2004, 0.1939], [0.0887, 0.9735, 0.1971], [0.5921, 0.9735, 0.1973], [0.4372, 0.3637, 0.6361], [0.9397, 0.3582, 0.6369], [0.2412, 0.1256, 0.6362], [0.7442, 0.1254, 0.6364], [0.3186, 0.5131, 0.6360], [0.8205, 0.5192, 0.6371], [0.4391, 0.5198, 0.1354], [0.9384, 0.5134, 0.1361], [0.3187, 0.1172, 0.1353], [0.8182, 0.1244, 0.1361], [0.2443, 0.3658, 0.1359], [0.7410, 0.3517, 0.1360], [0.2286, 0.3022, 0.0309], [0.7300, 0.3052, 0.0298], [0.4234, 0.5456, 0.0300], [0.9231, 0.5467, 0.0312], [0.3492, 0.1510, 0.0300], [0.8494, 0.1555, 0.0312], [0.2278, 0.1535, 0.5305], [0.7288, 0.1571, 0.5314], [0.3492, 0.5437, 0.5310], [0.8509, 0.5473, 0.5318], [0.4218, 0.3003, 0.5313], [0.9238, 0.2979, 0.5316], [0.2706, 0.6947, 0.9691], [0.7706, 0.6931, 0.9692], [0.0753, 0.4627, 0.9689], [0.5810, 0.4686, 0.9734], [0.1555, 0.8447, 0.9688], [0.6556, 0.8513, 0.9692], [0.2705, 0.8495, 0.4697], [0.7700, 0.8459, 0.4693], [0.1591, 0.4656, 0.4694], [0.6520, 0.4574, 0.4696], [0.0797, 0.6877, 0.4728], [0.5742, 0.6906, 0.4694], [0.0677, 0.6429, 0.3604], [0.5637, 0.6386, 0.3641], [0.2574, 0.8733, 0.3639], [0.7571, 0.8700, 0.3638], [0.1835, 0.4906, 0.3635], [0.6803, 0.4868, 0.3646], [0.0617, 0.4881, 0.8640], [0.5697, 0.4957, 0.8597], [0.1821, 0.8736, 0.8638], [0.6815, 0.8776, 0.8634], [0.2580, 0.6445, 0.8633], [0.7559, 0.6409, 0.8642], [0.0135, 0.8483, 0.4138], [0.5117, 0.8196, 0.4066], [0.3975, 0.9704, 0.4103], [0.8996, 0.9811, 0.4098], [0.0884, 0.2087, 0.4099], [0.5884, 0.2014, 0.4087], [0.0127, 0.2026, 0.9094], [0.5128, 0.1841, 0.9103], [0.0859, 0.9660, 0.9096], [0.5873, 0.9708, 0.9093], [0.3999, 0.8225, 0.9105], [0.8988, 0.8229, 0.9081], [0.4872, 0.1780, 0.5933], [0.9891, 0.1720, 0.5919], [0.0989, 0.0218, 0.5906], [0.6013, 0.0261, 0.5940], [0.4114, 0.7975, 0.5924], [0.9135, 0.8048, 0.5925], [0.4897, 0.8051, 0.0892], [0.9886, 0.7995, 0.0929], [0.4113, 0.0161, 0.0891], [0.9114, 0.0250, 0.0932], [0.1011, 0.1801, 0.0933], [0.5998, 0.1715, 0.0879], [0.3475, 0.1603, 0.7430], [0.8447, 0.1598, 0.7435], [0.2348, 0.3090, 0.7428], [0.7339, 0.3055, 0.7437], [0.4218, 0.5332, 0.7433], [0.9192, 0.5300, 0.7436], [0.3437, 0.5328, 0.2432], [0.8451, 0.5318, 0.2414], [0.4094, 0.3114, 0.2464], [0.9211, 0.3092, 0.2424], [0.2314, 0.1600, 0.2412], [0.7341, 0.1621, 0.2429], [0.3187, 0.5074, 0.9241], [0.8186, 0.5056, 0.9230], [0.4212, 0.3548, 0.9201], [0.9322, 0.3581, 0.9237], [0.2433, 0.1314, 0.9241], [0.7454, 0.1361, 0.9229], [0.3209, 0.1336, 0.4230], [0.8151, 0.1283, 0.4226], [0.2475, 0.3589, 0.4228], [0.7444, 0.3555, 0.4230], [0.4324, 0.5059, 0.4220], [0.9215, 0.4864, 0.4203], [0.1783, 0.4890, 0.0732], [0.6803, 0.4878, 0.0769], [0.0659, 0.6442, 0.0747], [0.5672, 0.6484, 0.0742], [0.2553, 0.8638, 0.0731], [0.7564, 0.8692, 0.0742], [0.1806, 0.8705, 0.5763], [0.6777, 0.8686, 0.5752], [0.2562, 0.6436, 0.5745], [0.7565, 0.6466, 0.5754], [0.0672, 0.4828, 0.5760], [0.5659, 0.4893, 0.5745], [0.1546, 0.8463, 0.2565], [0.6561, 0.8483, 0.2583], [0.2693, 0.6984, 0.2584], [0.7700, 0.6959, 0.2567], [0.0794, 0.4596, 0.2552], [0.5855, 0.4801, 0.2608], [0.1541, 0.4636, 0.7576], [0.6548, 0.4620, 0.7568], [0.0776, 0.6932, 0.7574], [0.5800, 0.6987, 0.7567], [0.2689, 0.8434, 0.7578], [0.7683, 0.8454, 0.7589]]
}